(1)
MgVMoO5: relaxed, PBE+U.

Lattice parameters (Å, degrees): 10.012 3.878 6.455 90.00 127.32 90.00
Space group Cm (No. 8)
Asymmetric unit:
Mg1 0.000 0.000 0.000 [2 per cell]
V1 0.348 0.000 0.181 [2 per cell]
Mo1 0.168 0.000 0.576 [2 per cell]
O1 0.103 0.500 0.526 [2 per cell]
O2 0.138 0.000 0.874 [2 per cell]
O3 0.240 0.000 0.352 [2 per cell]
O4 0.410 0.500 0.224 [2 per cell]
O5 0.414 0.000 0.934 [2 per cell]

ΔE to the lowest computed polymorph, meV per atom: 0

***

(2)
Mn5O3F5: relaxed, PBE+U.

Lattice parameters (Å, degrees): 6.351 6.403 11.039 90.52 105.66 119.48
Space group P1 (No. 1)
Asymmetric unit:
Mn1 0.000 0.000 0.000 [1 per cell]
Mn2 0.000 0.497 0.499 [1 per cell]
Mn3 0.087 0.604 0.203 [1 per cell]
Mn4 0.093 0.091 0.703 [1 per cell]
Mn5 0.593 0.855 0.455 [1 per cell]
Mn6 0.594 0.105 0.199 [1 per cell]
Mn7 0.596 0.579 0.193 [1 per cell]
Mn8 0.597 0.344 0.955 [1 per cell]
Mn9 0.603 0.600 0.703 [1 per cell]
Mn10 0.611 0.079 0.700 [1 per cell]
O1 0.384 0.230 0.080 [1 per cell]
O2 0.394 0.727 0.568 [1 per cell]
O3 0.834 0.166 0.565 [1 per cell]
O4 0.842 0.950 0.808 [1 per cell]
O5 0.859 0.468 0.301 [1 per cell]
O6 0.869 0.688 0.087 [1 per cell]
F1 0.342 0.715 0.108 [1 per cell]
F2 0.350 0.534 0.321 [1 per cell]
F3 0.359 0.956 0.321 [1 per cell]
F4 0.360 0.447 0.820 [1 per cell]
F5 0.366 0.007 0.818 [1 per cell]
F6 0.372 0.227 0.604 [1 per cell]
F7 0.777 0.932 0.323 [1 per cell]
F8 0.798 0.438 0.817 [1 per cell]
F9 0.851 0.705 0.567 [1 per cell]
F10 0.856 0.207 0.079 [1 per cell]

ΔE to the lowest computed polymorph, meV per atom: 8

***

(3)
KCoO2: relaxed, PBE+U.

Lattice parameters (Å, degrees): 5.712 5.712 7.663 90.00 90.00 90.00
Space group I-4 (No. 82)
Asymmetric unit:
K1 0.000 0.000 0.000 [2 per cell]
K2 0.000 0.500 0.250 [2 per cell]
Co1 0.000 0.000 0.500 [2 per cell]
Co2 0.000 0.500 0.750 [2 per cell]
O1 0.122 0.261 0.613 [8 per cell]

***

(4)
FeBiO3: relaxed, PBE+U.

Lattice parameters (Å, degrees): 8.094 6.451 5.388 90.00 129.09 90.00
Space group Cm (No. 8)
Asymmetric unit:
Fe1 0.000 0.000 0.000 [2 per cell]
Bi1 0.498 0.000 0.199 [2 per cell]
O1 0.154 0.241 0.177 [4 per cell]
O2 0.212 0.500 0.699 [2 per cell]

***

Going through the records in order, we get energy of formation from the pure elements values of -18.8; -32.1; -6.1; -6.3 eV/f.u..
Going through the records in order, we get total energy values of -113.55; -179.26; -84.66; -58.36 eV per cell.
Going through the records in order, we get magnetic moment values of 0.12; 0.00; 0.00; 1.00 μB per atom.